No. 1
The following is a PBE-GGA calculation of crystalline NaCe3GeS7 at its relaxed geometry, from Materials Project.

Structure (POSCAR):
```
NaCe3GeS7
1.0
5.142 -8.907 0.000
5.142 8.907 0.000
0.000 0.000 5.864
Ce S Na Ge
6 14 2 2
Cartesian
7.776 2.074 4.390
7.234 -1.136 1.458
4.601 5.697 4.390
5.684 -5.697 1.458
3.051 1.136 4.390
2.509 -2.074 1.458
5.142 2.969 3.188
1.799 -1.485 4.525
5.142 -2.969 0.256
6.729 4.280 0.056
4.801 -0.940 2.989
5.529 -6.606 4.525
5.484 0.940 0.056
3.556 -4.280 2.989
8.099 -0.816 4.525
4.756 6.606 1.593
8.485 1.485 1.593
7.071 -3.687 2.989
3.214 3.687 0.056
2.186 0.816 1.593
0.000 0.000 0.112
0.000 0.000 3.044
5.142 2.969 0.972
5.142 -2.969 3.904
```

Results
As for the formation enthalpy at 0 K: -1810.1 meV/atom. The value obtained for the magnetization is 6.0 μB per cell. The energy is -5.9083 eV per atom.

No. 2
The following is a PBE-GGA calculation of crystalline TlTe3Pt2 at its relaxed geometry, from Materials Project.

Structure (POSCAR):
```
TlTe3Pt2
1.0
-5.118 3.206 -5.350
3.869 -6.866 -1.731
-4.545 -3.178 2.444
Pt Te Tl
4 6 2
Cartesian
-0.625 -1.830 -3.541
1.935 -3.433 -0.866
0.000 0.000 0.000
-2.559 1.603 -2.675
-3.101 -4.264 0.411
-4.594 0.798 -4.199
-3.714 -6.061 -3.066
-2.080 -0.776 -1.571
-1.201 -7.636 -0.439
-2.694 -2.573 -5.049
-0.541 -4.497 -2.177
-5.254 -2.341 -2.460
```

Results
As for the formation enthalpy at 0 K: -431.4 meV/atom. The energy is -4.4206 eV per atom.

No. 3
The following is a PBE-GGA calculation of crystalline Ba2GdSbO6 at its relaxed geometry, from Materials Project.

Structure (POSCAR):
```
Ba2GdSbO6
1.0
0.000 4.290 4.290
4.290 0.000 4.290
4.290 4.290 0.000
Ba Sb O Gd
2 1 6 1
Cartesian
2.145 2.145 2.145
6.435 6.435 6.435
0.000 0.000 0.000
4.290 4.290 6.562
4.290 4.290 2.018
2.018 4.290 4.290
4.290 6.562 4.290
4.290 2.018 4.290
6.562 4.290 4.290
4.290 4.290 4.290
```

Results
As for the formation enthalpy at 0 K: -3056.8 meV/atom. The energy is -7.8177 eV per atom.

No. 4
The following is a PBE-GGA calculation of crystalline CdHgC4S4N4 at its relaxed geometry, from Materials Project.

Structure (POSCAR):
```
CdHgC4S4N4
1.0
3.364 -6.396 -4.646
-1.133 3.806 7.618
-7.968 -3.202 -0.259
N S C Hg Cd
4 4 4 1 1
Cartesian
-3.458 -0.241 2.293
-2.339 -5.481 0.340
-2.257 0.373 5.563
-3.421 -6.233 -2.771
-0.352 -2.890 2.589
-7.719 -2.468 2.252
1.082 -2.279 -0.738
-4.486 -3.945 1.322
0.296 -6.661 -3.464
-0.214 -2.929 -1.502
-3.244 -4.858 0.765
-3.815 -7.335 -2.638
0.000 0.000 0.000
-3.993 -0.345 4.423
```

Results
As for the formation enthalpy at 0 K: -66.7 meV/atom. The value obtained for the magnetization is 0.0 μB per cell. The energy is -6.1079 eV per atom.

| no. | V (Å³ per atom) |
| --- | --- |
| 1 | 22.38 |
| 2 | 28.48 |
| 3 | 15.79 |
| 4 | 22.22 |